Record 1
## NiBr2 (PBE)

Data for crystalline NiBr2 at its relaxed geometry.

Summary:
The uncorrected energy comes out at -10.24 eV/cell. The calculation puts the calculated formation energy at -0.75 eV per atom.

```
NiBr2
1.0
0.534 1.838 -3.138
0.534 -1.838 -3.138
-5.794 0.000 -3.138
Br Ni
2 1
direct
0.742 0.742 0.775 Br
0.258 0.258 0.225 Br
0.000 0.000 0.000 Ni
```

***

Record 2
## RbNiBr3 (PBE)

Data for crystalline RbNiBr3 at its relaxed geometry.

Summary:
The uncorrected energy comes out at -32.80 eV/cell. The calculation puts the calculated formation energy at -1.27 eV per atom.

```
RbNiBr3
1.0
3.721 -6.445 0.000
3.721 6.445 0.000
0.000 0.000 6.281
Ni Br Rb
2 6 2
direct
0.000 0.000 0.500 Ni
0.000 0.000 0.000 Ni
0.843 0.686 0.750 Br
0.314 0.157 0.750 Br
0.686 0.843 0.250 Br
0.843 0.157 0.750 Br
0.157 0.843 0.250 Br
0.157 0.314 0.250 Br
0.333 0.667 0.750 Rb
0.667 0.333 0.250 Rb
```

***

Record 3
## Sc7NiBr12 (PBE)

Data for crystalline Sc7NiBr12 at its relaxed geometry.

Summary:
The uncorrected energy comes out at -99.51 eV/cell. The calculation puts the calculated formation energy at -1.81 eV per atom.

```
Sc7NiBr12
1.0
2.178 -8.324 1.574
7.313 4.767 0.554
-5.301 2.582 6.461
Br Sc Ni
12 7 1
direct
0.615 0.540 0.842 Br
0.540 0.842 0.615 Br
0.317 0.779 0.926 Br
0.221 0.074 0.683 Br
0.842 0.615 0.540 Br
0.074 0.683 0.221 Br
0.779 0.926 0.317 Br
0.926 0.317 0.779 Br
0.158 0.385 0.460 Br
0.460 0.158 0.385 Br
0.385 0.460 0.158 Br
0.683 0.221 0.074 Br
0.500 0.500 0.500 Sc
0.899 0.971 0.694 Sc
0.694 0.899 0.971 Sc
0.971 0.694 0.899 Sc
0.306 0.101 0.029 Sc
0.101 0.029 0.306 Sc
0.029 0.306 0.101 Sc
0.000 0.000 0.000 Ni
```

***

Record 4
## Th6NiBr15 (PBE)

Data for crystalline Th6NiBr15 at its relaxed geometry.

Summary:
The uncorrected energy comes out at -108.87 eV/cell. The calculation puts the calculated formation energy at -1.91 eV per atom.

```
Th6NiBr15
1.0
-5.903 5.903 5.903
5.903 -5.903 5.903
5.903 5.903 -5.903
Br Th Ni
15 6 1
direct
0.502 0.751 0.751 Br
0.000 0.500 0.500 Br
0.000 0.751 0.249 Br
0.500 0.500 0.000 Br
0.498 0.249 0.249 Br
0.249 0.000 0.751 Br
0.751 0.502 0.751 Br
0.751 0.751 0.502 Br
0.249 0.751 0.000 Br
0.000 0.249 0.751 Br
0.751 0.249 0.000 Br
0.751 0.000 0.249 Br
0.500 0.000 0.500 Br
0.249 0.498 0.249 Br
0.249 0.249 0.498 Br
0.761 0.000 0.761 Th
0.000 0.239 0.239 Th
0.239 0.239 0.000 Th
0.761 0.761 0.000 Th
0.239 0.000 0.239 Th
0.000 0.761 0.761 Th
0.000 0.000 0.000 Ni
```

***

Record 5
## NpBr3 (PBE)

Data for crystalline NpBr3 at its relaxed geometry.

Summary:
The uncorrected energy comes out at -46.89 eV/cell. The calculation puts the calculated formation energy at -1.80 eV per atom.

```
NpBr3
1.0
3.994 -6.918 0.000
3.994 6.918 0.000
0.000 0.000 4.437
Br Np
6 2
direct
0.086 0.389 0.750 Br
0.697 0.086 0.250 Br
0.611 0.697 0.750 Br
0.914 0.611 0.250 Br
0.303 0.914 0.750 Br
0.389 0.303 0.250 Br
0.667 0.333 0.750 Np
0.333 0.667 0.250 Np
```

***

Record 6
## NpBr3 (PBE)

Data for crystalline NpBr3 at its relaxed geometry.

Summary:
The uncorrected energy comes out at -46.96 eV/cell. The calculation puts the calculated formation energy at -1.81 eV per atom.

```
NpBr3
1.0
-0.206 3.792 -1.520
-4.257 -4.216 -4.438
-7.365 1.760 5.393
Br Np
6 2
direct
0.098 0.197 0.250 Br
0.345 0.689 0.433 Br
0.655 0.311 0.567 Br
0.345 0.689 0.067 Br
0.902 0.803 0.750 Br
0.655 0.311 0.933 Br
0.259 0.517 0.750 Np
0.741 0.483 0.250 Np
```

***

Record 7
## BrO (PBE)

Data for crystalline BrO at its relaxed geometry.

Summary:
The value obtained for the relative energy among the computed polymorphs is 0 meV per atom. The uncorrected energy comes out at -4.74 eV/cell. The calculation puts the calculated formation energy at 0.58 eV per atom.

```
BrO
1.0
3.358 -1.884 0.000
3.358 1.884 0.000
2.300 0.000 3.088
O Br
1 1
direct
0.591 0.591 0.591 O
0.958 0.958 0.958 Br
```

***

Record 8
## Br2O3 (PBE)

Data for crystalline Br2O3 at its relaxed geometry.

Summary:
The uncorrected energy comes out at -136.40 eV/cell. The calculation puts the calculated formation energy at -0.20 eV per atom.

```
Br2O3
1.0
8.242 0.000 0.000
0.000 9.430 0.000
0.000 3.937 11.337
O Br
24 16
direct
0.663 0.626 0.542 O
0.574 0.485 0.845 O
0.074 0.015 0.155 O
0.770 0.315 0.742 O
0.163 0.874 0.458 O
0.426 0.515 0.155 O
0.730 0.815 0.742 O
0.926 0.985 0.845 O
0.095 0.570 0.101 O
0.954 0.392 0.412 O
0.337 0.374 0.458 O
0.230 0.685 0.258 O
0.270 0.185 0.258 O
0.331 0.707 0.663 O
0.595 0.930 0.899 O
0.905 0.430 0.899 O
0.454 0.108 0.588 O
0.046 0.608 0.588 O
0.405 0.070 0.101 O
0.169 0.207 0.663 O
0.546 0.892 0.412 O
0.669 0.293 0.337 O
0.837 0.126 0.542 O
0.831 0.793 0.337 O
0.714 0.966 0.781 Br
0.286 0.034 0.219 Br
0.003 0.808 0.952 Br
0.697 0.760 0.219 Br
0.503 0.692 0.048 Br
0.213 0.698 0.530 Br
0.803 0.260 0.219 Br
0.287 0.198 0.530 Br
0.497 0.308 0.952 Br
0.214 0.534 0.219 Br
0.997 0.192 0.048 Br
0.786 0.466 0.781 Br
0.713 0.802 0.470 Br
0.197 0.740 0.781 Br
0.303 0.240 0.781 Br
0.787 0.302 0.470 Br
```

***

Record 9
## BrO4 (PBE)

Data for crystalline BrO4 at its relaxed geometry.

Summary:
The value obtained for the relative energy among the computed polymorphs is 0 meV per atom. The uncorrected energy comes out at -81.18 eV/cell. The calculation puts the calculated formation energy at 0.10 eV per atom.

```
BrO4
1.0
9.808 0.000 0.000
0.000 5.835 0.000
0.000 2.155 6.122
Br O
4 16
direct
0.100 0.560 0.847 Br
0.600 0.440 0.153 Br
0.941 0.865 0.278 Br
0.441 0.135 0.722 Br
0.743 0.178 0.964 O
0.017 0.084 0.719 O
0.460 0.395 0.775 O
0.854 0.826 0.508 O
0.297 0.648 0.178 O
0.683 0.663 0.963 O
0.354 0.174 0.492 O
0.676 0.357 0.397 O
0.797 0.352 0.822 O
0.517 0.916 0.281 O
0.176 0.643 0.603 O
0.183 0.337 0.037 O
0.243 0.822 0.036 O
0.573 0.819 0.459 O
0.073 0.181 0.541 O
0.960 0.605 0.225 O
```

***

Record 10
## Br2O (PBE)

Data for crystalline Br2O at its relaxed geometry.

Summary:
The uncorrected energy comes out at -30.93 eV/cell. For the piezoelectric modulus e_max, the calculation gives 0.76 C/m2. The calculation puts the calculated formation energy at -0.07 eV per atom.

```
Br2O
1.0
4.348 0.000 0.000
0.000 7.085 0.000
0.000 0.000 10.410
Br O
8 4
direct
0.877 0.322 0.007 Br
0.072 0.503 0.216 Br
0.623 0.322 0.507 Br
0.377 0.822 0.493 Br
0.572 0.003 0.284 Br
0.428 0.503 0.716 Br
0.123 0.822 0.993 Br
0.928 0.003 0.784 Br
0.808 0.197 0.355 O
0.192 0.697 0.645 O
0.308 0.697 0.145 O
0.692 0.197 0.855 O
```

***

Record 11
## BrO (PBE)

Data for crystalline BrO at its relaxed geometry.

Summary:
The value obtained for the relative energy among the computed polymorphs is 166 meV per atom. The uncorrected energy comes out at -4.41 eV/cell. The calculation puts the calculated formation energy at 0.74 eV per atom.

```
BrO
1.0
2.726 -1.854 0.000
2.726 1.854 0.000
1.466 0.000 2.953
Br O
1 1
direct
0.500 0.500 0.500 Br
0.000 0.000 0.000 O
```

***

Record 12
## BrO4 (PBE)

Data for crystalline BrO4 at its relaxed geometry.

Summary:
The value obtained for the relative energy among the computed polymorphs is 170 meV per atom. The uncorrected energy comes out at -80.35 eV/cell. The calculation puts the calculated formation energy at 0.27 eV per atom.

```
BrO4
1.0
13.184 0.000 0.000
0.000 5.504 0.000
0.000 0.770 6.904
O Br
16 4
direct
0.714 0.495 0.505 O
0.043 0.080 0.336 O
0.972 0.197 0.725 O
0.928 0.214 0.568 O
0.428 0.786 0.432 O
0.741 0.706 0.517 O
0.754 0.158 0.141 O
0.246 0.944 0.016 O
0.254 0.842 0.859 O
0.241 0.294 0.483 O
0.259 0.177 0.008 O
0.472 0.803 0.275 O
0.214 0.505 0.495 O
0.746 0.056 0.984 O
0.759 0.823 0.992 O
0.543 0.920 0.664 O
0.482 0.402 0.080 Br
0.016 0.815 0.229 Br
0.516 0.185 0.771 Br
0.982 0.598 0.920 Br
```

***

Record 13
## PBr3O (PBE)

Data for crystalline PBr3O at its relaxed geometry.

Summary:
The uncorrected energy comes out at -77.04 eV/cell. The calculation puts the calculated formation energy at -0.94 eV per atom.

```
PBr3O
1.0
-3.581 -2.275 4.928
8.159 1.014 6.396
-3.066 9.900 2.342
O Br P
4 12 4
direct
0.509 0.815 0.250 O
0.009 0.685 0.750 O
0.491 0.185 0.750 O
0.991 0.315 0.250 O
0.189 0.347 0.587 Br
0.811 0.653 0.087 Br
0.604 0.474 0.750 Br
0.689 0.153 0.087 Br
0.104 0.026 0.250 Br
0.689 0.153 0.413 Br
0.311 0.847 0.913 Br
0.396 0.526 0.250 Br
0.311 0.847 0.587 Br
0.811 0.653 0.413 Br
0.189 0.347 0.913 Br
0.896 0.974 0.750 Br
0.389 0.312 0.750 P
0.611 0.688 0.250 P
0.889 0.188 0.250 P
0.111 0.812 0.750 P
```

***

Record 14
## PBr3O (PBE)

Data for crystalline PBr3O at its relaxed geometry.

Summary:
The uncorrected energy comes out at -77.03 eV/cell. The calculation puts the calculated formation energy at -0.93 eV per atom.

```
PBr3O
1.0
6.564 0.000 0.000
0.000 10.252 0.000
0.000 0.000 10.600
Br O P
12 4 4
direct
0.102 0.025 0.250 Br
0.310 0.849 0.920 Br
0.818 0.659 0.091 Br
0.182 0.341 0.591 Br
0.810 0.651 0.420 Br
0.898 0.975 0.750 Br
0.682 0.159 0.091 Br
0.190 0.349 0.920 Br
0.602 0.475 0.750 Br
0.690 0.151 0.420 Br
0.318 0.841 0.591 Br
0.398 0.525 0.250 Br
0.514 0.817 0.256 O
0.014 0.683 0.756 O
0.486 0.183 0.756 O
0.986 0.317 0.256 O
0.885 0.188 0.255 P
0.615 0.688 0.255 P
0.115 0.812 0.755 P
0.385 0.312 0.755 P
```

***

Record 15
## P3Pb5BrO12 (PBE)

Data for crystalline P3Pb5BrO12 at its relaxed geometry.

Summary:
The uncorrected energy comes out at -269.33 eV/cell. The calculation puts the calculated formation energy at -2.24 eV per atom.

```
P3Pb5BrO12
1.0
1.228 8.445 -5.674
-9.408 -3.028 2.711
0.462 4.051 6.129
O Pb P Br
24 10 6 2
direct
0.729 0.091 0.421 O
0.139 0.658 0.250 O
0.119 0.587 0.750 O
0.518 0.861 0.250 O
0.909 0.638 0.421 O
0.587 0.468 0.250 O
0.468 0.881 0.750 O
0.638 0.729 0.921 O
0.091 0.362 0.579 O
0.342 0.482 0.250 O
0.909 0.638 0.079 O
0.091 0.362 0.921 O
0.861 0.342 0.750 O
0.413 0.532 0.750 O
0.271 0.909 0.579 O
0.362 0.271 0.421 O
0.532 0.119 0.250 O
0.482 0.139 0.750 O
0.881 0.413 0.250 O
0.271 0.909 0.921 O
0.658 0.518 0.750 O
0.729 0.091 0.079 O
0.362 0.271 0.079 O
0.638 0.729 0.579 O
0.667 0.333 0.503 Pb
0.262 0.009 0.250 Pb
0.667 0.333 0.997 Pb
0.009 0.747 0.750 Pb
0.253 0.262 0.750 Pb
0.333 0.667 0.003 Pb
0.991 0.253 0.250 Pb
0.747 0.738 0.250 Pb
0.738 0.991 0.750 Pb
0.333 0.667 0.497 Pb
0.591 0.625 0.750 P
0.375 0.966 0.750 P
0.034 0.409 0.750 P
0.409 0.375 0.250 P
0.966 0.591 0.250 P
0.625 0.034 0.250 P
0.000 0.000 0.500 Br
0.000 0.000 0.000 Br
```

***

Record 16
## P3Pb5BrO12 (PBE)

Data for crystalline P3Pb5BrO12 at its relaxed geometry.

Summary:
The uncorrected energy comes out at -269.34 eV/cell. The calculation puts the calculated formation energy at -2.24 eV per atom.

```
P3Pb5BrO12
1.0
-7.889 -1.017 6.390
4.526 -8.282 -3.875
4.689 -0.136 5.767
Pb P O Br
10 6 24 2
direct
0.738 0.992 0.249 Pb
0.254 0.262 0.249 Pb
0.746 0.738 0.749 Pb
0.333 0.667 0.504 Pb
0.333 0.667 0.996 Pb
0.667 0.333 0.496 Pb
0.008 0.746 0.249 Pb
0.667 0.333 0.004 Pb
0.262 0.008 0.749 Pb
0.992 0.254 0.749 Pb
0.035 0.410 0.250 P
0.625 0.035 0.750 P
0.410 0.375 0.750 P
0.590 0.625 0.250 P
0.375 0.965 0.250 P
0.965 0.590 0.750 P
0.484 0.138 0.250 O
0.363 0.271 0.919 O
0.729 0.091 0.581 O
0.271 0.909 0.081 O
0.637 0.729 0.419 O
0.271 0.908 0.419 O
0.908 0.637 0.919 O
0.092 0.363 0.419 O
0.532 0.121 0.750 O
0.121 0.590 0.250 O
0.590 0.468 0.750 O
0.638 0.729 0.081 O
0.516 0.862 0.750 O
0.091 0.362 0.081 O
0.909 0.638 0.581 O
0.879 0.410 0.750 O
0.346 0.484 0.750 O
0.138 0.654 0.750 O
0.362 0.271 0.581 O
0.729 0.092 0.919 O
0.468 0.879 0.250 O
0.410 0.532 0.250 O
0.862 0.346 0.250 O
0.654 0.516 0.250 O
0.000 0.000 0.990 Br
0.000 0.000 0.490 Br
```